*P*
Entry from Materials Project: a geometry-optimized AlInSb2 structure (PBE-GGA).

Structure (extended XYZ):
```
4
Lattice="2.2762 1.3142 7.4029 -2.2762 1.3142 7.4029 0.0000 -2.6284 7.4029" Properties=species:S:1:pos:R:3 pbc="T T T"
Al 0.0000 0.0000 0.0000
In 0.0000 0.0000 11.0906
Sb 0.0000 0.0000 8.2240
Sb 0.0000 0.0000 19.5246
```

*Q*
Entry from Materials Project: a geometry-optimized AlInSb2 structure (PBE-GGA).

Structure (extended XYZ):
```
4
Lattice="4.5502 0.0000 0.0000 0.0000 4.5502 0.0000 0.0000 0.0000 6.3989" Properties=species:S:1:pos:R:3 pbc="T T T"
Al 0.0000 0.0000 0.0000
In 2.2751 2.2751 3.1994
Sb 0.0000 2.2751 1.4871
Sb 2.2751 0.0000 4.9117
```

Stability comparison, relative energies in kJ/mol of atoms: *P* 2.1; *Q* 0.0

*P*
Entry from Materials Project: a geometry-optimized K3Al structure (PBE-GGA).

Structure (extended XYZ):
```
4
Lattice="-2.8996 2.8996 5.5656 2.8996 -2.8996 5.5656 2.8996 2.8996 -5.5656" Properties=species:S:1:pos:R:3 pbc="T T T"
K 0.0000 0.0000 0.0000
K 2.8996 0.0000 2.7828
K 0.0000 2.8996 2.7828
Al 0.0000 0.0000 5.5656
```

*Q*
Entry from Materials Project: a geometry-optimized K3Al structure (PBE-GGA).

Structure (extended XYZ):
```
4
Lattice="5.7719 0.0000 0.0000 0.0000 5.7719 0.0000 0.0000 0.0000 5.7719" Properties=species:S:1:pos:R:3 pbc="T T T"
K 0.0000 0.0000 2.8859
K 0.0000 2.8859 0.0000
K 2.8859 0.0000 0.0000
Al 2.8859 2.8859 2.8859
```

Stability comparison, relative energies in kJ/mol of atoms: *P* 0.0; *Q* 1.5

*P*
Entry from Materials Project: a geometry-optimized KMg14Al structure (PBE-GGA).

Structure (extended XYZ):
```
16
Lattice="6.4731 0.0000 0.0000 -3.2365 5.6059 0.0000 0.0000 0.0000 10.6224" Properties=species:S:1:pos:R:3 pbc="T T T"
K 0.0000 0.0000 0.0000
Mg -1.5785 2.8259 0.0000
Mg 0.0000 1.9009 2.8234
Mg 0.0000 1.9009 7.7990
Mg -1.5903 4.6554 2.8234
Mg -1.5903 4.6554 7.7990
Mg 1.5785 2.8259 0.0000
Mg 0.0000 5.5599 0.0000
Mg 3.2365 0.0171 5.3112
Mg 1.6331 2.7944 5.3112
Mg 1.5903 4.6554 2.8234
Mg 1.5903 4.6554 7.7990
Mg 3.2365 1.8686 2.5921
Mg 3.2365 1.8686 8.0303
Mg 4.8400 2.7944 5.3112
Al 0.0000 0.0000 5.3112
```

*Q*
Entry from Materials Project: a geometry-optimized KMg14Al structure (PBE-GGA).

Structure (extended XYZ):
```
16
Lattice="10.5600 0.0000 0.0000 0.0000 3.2590 5.5818 0.0000 -3.2590 5.5818" Properties=species:S:1:pos:R:3 pbc="T T T"
K 0.0000 0.0000 0.0000
Mg 0.0000 -1.5770 2.8160
Mg 0.0000 1.5770 2.8160
Mg 2.5425 0.0000 7.4275
Mg 2.7204 -1.5612 4.6510
Mg 2.7204 1.5612 4.6510
Mg 2.7863 0.0000 1.9230
Mg 5.2800 0.0000 5.5873
Mg 5.2800 -1.6122 8.3709
Mg 5.2800 1.6122 8.3709
Mg 5.2800 0.0000 11.1475
Mg 7.7738 0.0000 1.9230
Mg 7.8396 -1.5612 4.6510
Mg 7.8396 1.5612 4.6510
Mg 8.0175 0.0000 7.4275
Al 0.0000 0.0000 5.4717
```

Stability comparison, relative energies in kJ/mol of atoms: *P* 0.5; *Q* 0.0

*P*
Entry from Materials Project: a geometry-optimized KMg14AlO16 structure (PBE-GGA).

Structure (extended XYZ):
```
32
Lattice="4.3791 0.0000 0.0000 0.0000 8.5076 0.0000 0.0000 0.0000 8.6032" Properties=species:S:1:pos:R:3 pbc="T T T"
K 0.0000 0.0000 0.0000
Mg 0.0000 0.0000 4.3016
Mg 0.0000 2.1110 2.1798
Mg 0.0000 2.1110 6.4234
Mg 0.0000 4.2538 4.3016
Mg 0.0000 6.3966 2.1798
Mg 0.0000 6.3966 6.4234
Mg 2.1896 0.0000 2.1657
Mg 2.1896 0.0000 6.4375
Mg 2.1896 2.1114 0.0000
Mg 2.1896 2.1128 4.3016
Mg 2.1896 4.2538 2.1509
Mg 2.1896 4.2538 6.4522
Mg 2.1896 6.3962 0.0000
Mg 2.1896 6.3948 4.3016
Al 0.0000 4.2538 0.0000
O 0.0000 0.0000 2.3622
O 0.0000 0.0000 6.2409
O 0.0000 2.2040 4.3016
O 0.0000 2.4477 0.0000
O 0.0000 4.2538 2.0441
O 0.0000 4.2538 6.5591
O 0.0000 6.0598 0.0000
O 0.0000 6.3036 4.3016
O 2.1896 0.0000 0.0000
O 2.1896 0.0000 4.3016
O 2.1896 2.1387 2.1430
O 2.1896 2.1387 6.4602
O 2.1896 4.2538 0.0000
O 2.1896 4.2538 4.3016
O 2.1896 6.3688 2.1430
O 2.1896 6.3688 6.4602
```

*Q*
Entry from Materials Project: a geometry-optimized KMg14AlO16 structure (PBE-GGA).

Structure (extended XYZ):
```
32
Lattice="8.5755 0.0000 0.0000 0.0000 8.5755 0.0000 0.0000 0.0000 4.3803" Properties=species:S:1:pos:R:3 pbc="T T T"
K 0.0000 0.0000 0.0000
Mg 0.0000 2.1372 2.1901
Mg 0.0000 4.2878 0.0000
Mg 0.0000 6.4383 2.1901
Mg 2.1295 2.1295 0.0000
Mg 2.1295 6.4460 0.0000
Mg 2.1372 0.0000 2.1901
Mg 2.1328 4.2878 2.1901
Mg 4.2878 0.0000 0.0000
Mg 4.2878 2.1328 2.1901
Mg 4.2878 6.4428 2.1901
Mg 6.4383 0.0000 2.1901
Mg 6.4428 4.2878 2.1901
Mg 6.4460 2.1295 0.0000
Mg 6.4460 6.4460 0.0000
Al 4.2878 4.2878 0.0000
O 0.0000 0.0000 2.1901
O 0.0000 2.3746 0.0000
O 0.0000 4.2878 2.1901
O 0.0000 6.2009 0.0000
O 2.1535 2.1535 2.1901
O 2.1535 6.4220 2.1901
O 2.3521 4.2878 0.0000
O 2.3746 0.0000 0.0000
O 4.2878 0.0000 2.1901
O 4.2878 2.3521 0.0000
O 4.2878 4.2878 2.1901
O 4.2878 6.2234 0.0000
O 6.2009 0.0000 0.0000
O 6.2234 4.2878 0.0000
O 6.4220 2.1535 2.1901
O 6.4220 6.4220 2.1901
```

Stability comparison, relative energies in kJ/mol of atoms: *P* 0.0; *Q* 1.9

*P*
Entry from Materials Project: a geometry-optimized KAl3Si3O12 structure (PBE-GGA).

Structure (extended XYZ):
```
38
Lattice="2.6515 -4.5880 0.0000 2.6515 4.5880 0.0000 -2.3410 0.0000 20.4581" Properties=species:S:1:pos:R:3 pbc="T T T"
K 1.4810 3.6927 10.2291
K 2.6515 -3.6927 0.0000
Al -0.2965 0.8514 15.0601
Al 0.8740 -0.8514 4.8310
Al 1.4061 0.6890 12.3563
Al 2.5766 -0.6890 2.1273
Al 3.2134 0.8292 4.8352
Al 2.0429 -0.8292 15.0643
Si 0.3083 2.3564 17.8512
Si 2.6515 2.3344 2.0824
Si 1.5613 0.6647 7.6277
Si 0.3908 -0.6647 17.8567
Si 1.4788 -2.3564 7.6221
Si 1.4810 -2.3344 12.3115
O 1.8722 4.2625 5.5944
O 0.2839 1.6083 8.0724
O 1.1003 4.2023 14.4719
O -0.1409 1.1628 11.6689
O 0.0729 2.2739 16.2435
O 0.1881 0.8420 18.5110
O 1.0296 -1.1628 1.4398
O 2.8908 2.3018 3.7481
O -0.8866 -1.6083 18.3015
O 1.7795 0.5227 6.0301
O 1.1624 0.4533 14.0875
O 3.0132 0.8717 1.4591
O 0.6090 -0.5227 16.2592
O 1.3586 -0.8420 8.2819
O 2.6057 1.8823 11.9297
O 2.3329 -0.4532 3.8584
O 2.9289 1.3162 8.3037
O 1.2434 -2.2739 6.0144
O 1.8427 -0.8717 11.6882
O 1.7585 -1.3162 18.5328
O 1.7203 -2.3018 13.9771
O 0.7017 -4.2625 15.8235
O 3.7762 -1.8823 1.7006
O 2.2708 -4.2023 4.2428
```

*Q*
Entry from Materials Project: a geometry-optimized KAl3Si3O12 structure (PBE-GGA).

Structure (extended XYZ):
```
57
Lattice="5.2791 0.0000 0.0000 -2.6395 4.5718 0.0000 0.0000 0.0000 30.6818" Properties=species:S:1:pos:R:3 pbc="T T T"
K -1.0511 3.6492 0.0000
K 0.0048 1.8370 10.2273
K 1.0463 3.6575 20.4546
Al -0.0245 2.0096 25.2935
Al -0.8869 3.5883 15.0663
Al 1.6487 2.0796 2.1321
Al 2.6538 0.3881 12.3594
Al 0.9114 3.5458 4.8390
Al 2.6375 0.6876 25.2839
Al 1.9162 1.9439 15.0566
Al 3.3649 1.9404 4.8293
Al 3.6161 2.1042 22.5867
Si 1.0357 0.5451 17.8381
Si 0.9851 0.6678 22.5415
Si 1.6432 2.0540 28.0520
Si 2.6787 0.3961 7.5974
Si 4.2083 0.5192 2.0869
Si 2.5937 3.4023 7.6108
Si 4.2892 0.6244 28.0654
Si 2.7253 3.3849 12.3142
Si 3.5967 2.1218 17.8247
O -2.1101 3.7314 22.1563
O -0.4191 1.1722 18.2844
O -1.4725 3.6122 18.5130
O -0.0947 1.7113 21.9049
O 0.4631 0.8787 1.7017
O -0.2785 2.3409 5.7685
O -1.1102 3.7982 11.6776
O -0.7658 3.2071 4.0055
O -1.4149 4.3486 8.0571
O 0.2475 1.4905 28.7403
O 1.2423 0.4560 16.2343
O 0.2450 2.3051 14.2328
O 1.0711 0.9038 24.2078
O -0.4730 3.6425 26.2231
O 0.7515 3.1602 15.9958
O 0.5208 3.6315 24.4601
O 1.5897 1.8098 26.4422
O 2.3735 0.4586 14.0991
O 2.4486 0.9872 21.8989
O 2.2320 1.4769 18.4954
O 1.8500 2.2870 3.8718
O 2.9169 0.4718 5.9876
O 1.2049 3.6341 1.4503
O 2.2702 1.9577 11.6716
O 1.2249 4.0409 8.2857
O 2.8841 1.1945 28.7227
O 2.8026 1.9004 8.2681
O 1.8339 3.6228 28.5116
O 3.1998 1.6269 1.4443
O 3.9608 0.4757 3.7532
O 1.6470 4.5335 11.9289
O 2.4133 3.2679 6.0070
O 2.8867 3.1923 13.9805
O 3.4120 2.2902 16.2149
O 4.2630 0.8479 26.4615
O 3.6952 1.8262 24.3264
```

Stability comparison, relative energies in kJ/mol of atoms: *P* 8.9; *Q* 0.0